[1]
Si2Ni3H4O9: relaxed, PBE with a Hubbard U.

Structure (CIF):
```
data_Si2Ni3H4O9
_chemical_formula_sum 'Si2 Ni3 H4 O9'
_cell_length_a 5.3471
_cell_length_b 5.3471
_cell_length_c 7.4710
_cell_angle_alpha 90.00
_cell_angle_beta 90.00
_cell_angle_gamma 120.00
_space_group_name_H-M_alt 'P 1'
_space_group_IT_number 1
loop_
_space_group_symop_operation_xyz
'x,y,z'
loop_
_atom_site_label
_atom_site_type_symbol
_atom_site_fract_x
_atom_site_fract_y
_atom_site_fract_z
Si1 Si 0.3333 0.6667 0.1035
Si2 Si 0.6667 0.3333 0.1035
Ni1 Ni 0.3323 0.0000 0.7297
Ni2 Ni 0.0000 0.3323 0.7297
Ni3 Ni 0.6677 0.6677 0.7297
H1 H 0.6497 0.0000 0.4683
H2 H 0.0000 0.6497 0.4683
H3 H 0.3503 0.3503 0.4683
H4 H 0.0000 0.0000 0.0000
O1 O 0.3333 0.6667 0.8876
O2 O 0.6667 0.3333 0.8876
O3 O 0.6631 0.0000 0.5983
O4 O 0.0000 0.6631 0.5983
O5 O 0.3369 0.3369 0.5983
O6 O 0.4864 0.4864 0.1855
O7 O 0.5136 0.0000 0.1855
O8 O 0.0000 0.5136 0.1855
O9 O 0.0000 0.0000 0.8700
```

***

[2]
# KNaV6Pb8O24, relaxed, DFT PBE with a Hubbard U
# total magnetic moment: 0.0 μB per cell
data_KNaV6Pb8O24
_chemical_formula_sum 'K1 Na1 V6 Pb8 O24'
_cell_length_a 10.2915
_cell_length_b 10.2915
_cell_length_c 7.4906
_cell_angle_alpha 90.00
_cell_angle_beta 90.00
_cell_angle_gamma 120.00
_space_group_name_H-M_alt 'P 1'
_space_group_IT_number 1
loop_
_space_group_symop_operation_xyz
'x,y,z'
loop_
_atom_site_label
_atom_site_type_symbol
_atom_site_fract_x
_atom_site_fract_y
_atom_site_fract_z
K1 K 0.3333 0.6667 0.4875
Na1 Na 0.0000 0.0000 0.0116
V1 V 0.2746 0.3157 0.7539
V2 V 0.0411 0.7254 0.7539
V3 V 0.6843 0.9589 0.7539
V4 V 0.0572 0.3474 0.2499
V5 V 0.2901 0.9428 0.2499
V6 V 0.6526 0.7099 0.2499
Pb1 Pb 0.6654 0.0766 0.2486
Pb2 Pb 0.4112 0.3346 0.2486
Pb3 Pb 0.9234 0.5888 0.2486
Pb4 Pb 0.6700 0.5912 0.7509
Pb5 Pb 0.9213 0.3300 0.7509
Pb6 Pb 0.4088 0.0787 0.7509
Pb7 Pb 0.3333 0.6667 0.9751
Pb8 Pb 0.0000 0.0000 0.4752
O1 O 0.1739 0.7459 0.2463
O2 O 0.5719 0.8261 0.2463
O3 O 0.2541 0.4281 0.2463
O4 O 0.1578 0.9229 0.7515
O5 O 0.7651 0.8422 0.7515
O6 O 0.0771 0.2349 0.7515
O7 O 0.4100 0.9949 0.4314
O8 O 0.5849 0.5900 0.4314
O9 O 0.0051 0.4151 0.4314
O10 O 0.9191 0.6722 0.9337
O11 O 0.7531 0.0809 0.9337
O12 O 0.3278 0.2469 0.9337
O13 O 0.9256 0.6729 0.5677
O14 O 0.7473 0.0744 0.5677
O15 O 0.3271 0.2527 0.5677
O16 O 0.4093 0.9952 0.0667
O17 O 0.5860 0.5907 0.0667
O18 O 0.0048 0.4140 0.0667
O19 O 0.1427 0.6312 0.7632
O20 O 0.4885 0.8573 0.7632
O21 O 0.3688 0.5115 0.7632
O22 O 0.1868 0.0360 0.2530
O23 O 0.8492 0.8132 0.2530
O24 O 0.9640 0.1508 0.2530

***

[3]
# Li2VP3O10, relaxed, DFT PBE with a Hubbard U
# total magnetic moment: 8.0 μB per cell
# offset from the most stable computed form: 0.00 eV per formula unit
data_Li2VP3O10
_chemical_formula_sum 'Li8 V4 P12 O40'
_cell_length_a 7.9957
_cell_length_b 9.9596
_cell_length_c 12.1464
_cell_angle_alpha 83.47
_cell_angle_beta 90.00
_cell_angle_gamma 90.00
_space_group_name_H-M_alt 'P 1'
_space_group_IT_number 1
loop_
_space_group_symop_operation_xyz
'x,y,z'
loop_
_atom_site_label
_atom_site_type_symbol
_atom_site_fract_x
_atom_site_fract_y
_atom_site_fract_z
Li1 Li 0.5486 0.6217 0.1503
Li2 Li 0.9514 0.1217 0.1503
Li3 Li 0.8894 0.0884 0.4439
Li4 Li 0.6106 0.5884 0.4439
Li5 Li 0.3894 0.4116 0.5561
Li6 Li 0.1106 0.9116 0.5561
Li7 Li 0.0486 0.8783 0.8497
Li8 Li 0.4514 0.3783 0.8497
V1 V 0.1455 0.3705 0.1695
V2 V 0.3545 0.8705 0.1695
V3 V 0.6455 0.1295 0.8305
V4 V 0.8545 0.6295 0.8305
P1 P 0.4262 0.1891 0.0613
P2 P 0.0738 0.6891 0.0613
P3 P 0.5765 0.0831 0.2694
P4 P 0.9235 0.5831 0.2694
P5 P 0.2154 0.0719 0.3318
P6 P 0.2846 0.5719 0.3318
P7 P 0.7154 0.4281 0.6682
P8 P 0.7846 0.9281 0.6682
P9 P 0.0765 0.4169 0.7306
P10 P 0.4235 0.9169 0.7306
P11 P 0.9262 0.3109 0.9387
P12 P 0.5738 0.8109 0.9387
O1 O 0.3261 0.0595 0.0821
O2 O 0.9992 0.2866 0.0559
O3 O 0.3388 0.3210 0.0811
O4 O 0.1739 0.5595 0.0821
O5 O 0.5008 0.7866 0.0559
O6 O 0.1612 0.8210 0.0811
O7 O 0.5811 0.1780 0.1507
O8 O 0.9189 0.6780 0.1507
O9 O 0.1197 0.1739 0.2504
O10 O 0.9406 0.4370 0.2451
O11 O 0.2806 0.4304 0.2923
O12 O 0.3803 0.6739 0.2504
O13 O 0.5594 0.9370 0.2451
O14 O 0.2194 0.9304 0.2923
O15 O 0.4109 0.1262 0.3334
O16 O 0.7304 0.1198 0.3285
O17 O 0.0891 0.6262 0.3334
O18 O 0.7696 0.6198 0.3285
O19 O 0.1434 0.0669 0.4475
O20 O 0.3566 0.5669 0.4475
O21 O 0.6434 0.4331 0.5525
O22 O 0.8566 0.9331 0.5525
O23 O 0.2304 0.3802 0.6715
O24 O 0.9109 0.3738 0.6666
O25 O 0.2696 0.8802 0.6715
O26 O 0.5891 0.8738 0.6666
O27 O 0.7806 0.0696 0.7077
O28 O 0.4406 0.0630 0.7549
O29 O 0.6197 0.3261 0.7496
O30 O 0.7194 0.5696 0.7077
O31 O 0.0594 0.5630 0.7549
O32 O 0.8803 0.8261 0.7496
O33 O 0.0811 0.3220 0.8493
O34 O 0.4189 0.8220 0.8493
O35 O 0.8388 0.1790 0.9189
O36 O 0.4992 0.2134 0.9441
O37 O 0.8261 0.4405 0.9179
O38 O 0.6612 0.6790 0.9189
O39 O 0.0008 0.7134 0.9441
O40 O 0.6739 0.9405 0.9179

***

[4]
# NaCa2V3Zn2O12, relaxed, DFT PBE with a Hubbard U
# total magnetic moment: 0.0 μB per cell
data_NaCa2V3Zn2O12
_chemical_formula_sum 'Na4 Ca8 V12 Zn8 O48'
_cell_length_a 10.9097
_cell_length_b 10.9097
_cell_length_c 10.9097
_cell_angle_alpha 109.48
_cell_angle_beta 109.48
_cell_angle_gamma 109.45
_space_group_name_H-M_alt 'P 1'
_space_group_IT_number 1
loop_
_space_group_symop_operation_xyz
'x,y,z'
loop_
_atom_site_label
_atom_site_type_symbol
_atom_site_fract_x
_atom_site_fract_y
_atom_site_fract_z
Na1 Na 0.0000 0.5000 0.5000
Na2 Na 0.2500 0.2500 0.0000
Na3 Na 0.5000 0.0000 0.5000
Na4 Na 0.7500 0.7500 0.0000
Ca1 Ca 0.0018 0.3750 0.1268
Ca2 Ca 0.1250 0.9982 0.3732
Ca3 Ca 0.5018 0.3750 0.6268
Ca4 Ca 0.1250 0.4982 0.8732
Ca5 Ca 0.2482 0.8750 0.8732
Ca6 Ca 0.6250 0.7518 0.6268
Ca7 Ca 0.7482 0.8750 0.3732
Ca8 Ca 0.6250 0.2518 0.1268
V1 V 0.0000 0.0000 0.0000
V2 V 0.9996 0.8750 0.6246
V3 V 0.1250 0.2496 0.6246
V4 V 0.2504 0.3750 0.3754
V5 V 0.1250 0.7496 0.1246
V6 V 0.2500 0.7500 0.5000
V7 V 0.5000 0.5000 0.0000
V8 V 0.4996 0.8750 0.1246
V9 V 0.6250 0.0004 0.8754
V10 V 0.6250 0.5004 0.3754
V11 V 0.7504 0.3750 0.8754
V12 V 0.7500 0.2500 0.5000
Zn1 Zn 0.8750 0.1250 0.2500
Zn2 Zn 0.8750 0.6250 0.2500
Zn3 Zn 0.8750 0.1250 0.7500
Zn4 Zn 0.8750 0.6250 0.7500
Zn5 Zn 0.3750 0.6250 0.7500
Zn6 Zn 0.3750 0.1250 0.7500
Zn7 Zn 0.3750 0.6250 0.2500
Zn8 Zn 0.3750 0.1250 0.2500
O1 O 0.9809 0.7430 0.1620
O2 O 0.8927 0.3341 0.8708
O3 O 0.9887 0.1394 0.9589
O4 O 0.9702 0.0113 0.1508
O5 O 0.9633 0.8341 0.4414
O6 O 0.9781 0.1073 0.4414
O7 O 0.0689 0.3309 0.3380
O8 O 0.2867 0.2281 0.3708
O9 O 0.2570 0.4191 0.2380
O10 O 0.1659 0.6073 0.1292
O11 O 0.1811 0.0191 0.7620
O12 O 0.8894 0.4305 0.6508
O13 O 0.0695 0.6106 0.3492
O14 O 0.0809 0.2430 0.7620
O15 O 0.2719 0.2133 0.6292
O16 O 0.1691 0.4311 0.6620
O17 O 0.1805 0.0298 0.0411
O18 O 0.9930 0.7309 0.6620
O19 O 0.2691 0.9311 0.2620
O20 O 0.3927 0.5219 0.5586
O21 O 0.3894 0.7387 0.4589
O22 O 0.2613 0.7202 0.6508
O23 O 0.4702 0.3195 0.9589
O24 O 0.0841 0.7133 0.9414
O25 O 0.6659 0.5367 0.5586
O26 O 0.2798 0.9305 0.5411
O27 O 0.4887 0.5298 0.8492
O28 O 0.3606 0.5113 0.0411
O29 O 0.3573 0.7281 0.9414
O30 O 0.4809 0.3189 0.2380
O31 O 0.7570 0.5191 0.8380
O32 O 0.5695 0.2202 0.4589
O33 O 0.5809 0.8189 0.8380
O34 O 0.4781 0.0367 0.8708
O35 O 0.6691 0.0070 0.7380
O36 O 0.6805 0.6394 0.1508
O37 O 0.8606 0.8195 0.8492
O38 O 0.5689 0.2309 0.7380
O39 O 0.5841 0.6427 0.3708
O40 O 0.4930 0.8309 0.2620
O41 O 0.4633 0.0219 0.1292
O42 O 0.6811 0.9191 0.1620
O43 O 0.7719 0.1427 0.0586
O44 O 0.7867 0.4159 0.0586
O45 O 0.7798 0.2387 0.3492
O46 O 0.7613 0.1106 0.5411
O47 O 0.8573 0.9159 0.6292
O48 O 0.7691 0.5070 0.3380

***

[5]
# NaV8O20, relaxed, DFT PBE with a Hubbard U
# total magnetic moment: 3.0 μB per cell
data_NaV8O20
_chemical_formula_sum 'Na3 V24 O60'
_cell_length_a 9.6072
_cell_length_b 10.7849
_cell_length_c 12.0806
_cell_angle_alpha 66.69
_cell_angle_beta 84.12
_cell_angle_gamma 76.19
_space_group_name_H-M_alt 'P 1'
_space_group_IT_number 1
loop_
_space_group_symop_operation_xyz
'x,y,z'
loop_
_atom_site_label
_atom_site_type_symbol
_atom_site_fract_x
_atom_site_fract_y
_atom_site_fract_z
Na1 Na 0.5514 0.4039 0.0488
Na2 Na 0.0506 0.4014 0.5500
Na3 Na 0.1982 0.6001 0.1972
V1 V 0.9119 0.8806 0.9710
V2 V 0.8455 0.5902 0.9899
V3 V 0.8811 0.8967 0.5496
V4 V 0.6298 0.8948 0.8004
V5 V 0.8718 0.1025 0.6994
V6 V 0.6184 0.1017 0.9509
V7 V 0.9046 0.4088 0.2616
V8 V 0.6556 0.4103 0.5104
V9 V 0.4053 0.4102 0.7613
V10 V 0.6629 0.8823 0.2200
V11 V 0.1615 0.8839 0.7212
V12 V 0.4126 0.8844 0.4719
V13 V 0.5872 0.1153 0.5298
V14 V 0.8361 0.1147 0.2785
V15 V 0.3361 0.1135 0.7801
V16 V 0.5957 0.5910 0.2389
V17 V 0.3468 0.5913 0.4894
V18 V 0.0957 0.5895 0.7396
V19 V 0.3786 0.8967 0.0477
V20 V 0.1316 0.8992 0.2966
V21 V 0.3675 0.1018 0.2024
V22 V 0.1208 0.1045 0.4521
V23 V 0.1533 0.4081 0.0106
V24 V 0.0846 0.1153 0.0267
O1 O 0.9988 0.9280 0.8092
O2 O 0.7832 0.7774 0.9133
O3 O 0.9994 0.2718 0.9456
O4 O 0.9952 0.5275 0.6852
O5 O 0.7380 0.5272 0.9431
O6 O 0.7589 0.9465 0.6660
O7 O 0.5128 0.9470 0.9120
O8 O 0.8165 0.7814 0.5327
O9 O 0.5644 0.7802 0.7838
O10 O 0.9378 0.2219 0.7100
O11 O 0.6766 0.2204 0.9704
O12 O 0.9860 0.0538 0.5862
O13 O 0.7448 0.0540 0.8367
O14 O 0.7654 0.4694 0.5581
O15 O 0.5063 0.4692 0.8177
O16 O 0.5005 0.9997 0.4998
O17 O 0.7486 0.0012 0.2514
O18 O 0.0007 0.0038 0.0002
O19 O 0.2519 0.0008 0.7484
O20 O 0.7518 0.7303 0.3035
O21 O 0.2480 0.7303 0.8044
O22 O 0.4992 0.7302 0.5535
O23 O 0.7166 0.2220 0.5871
O24 O 0.9636 0.2256 0.3341
O25 O 0.4686 0.2215 0.8356
O26 O 0.7421 0.9279 0.0650
O27 O 0.4945 0.9258 0.3112
O28 O 0.2458 0.9244 0.5620
O29 O 0.7314 0.4269 0.3544
O30 O 0.9838 0.4267 0.1038
O31 O 0.2319 0.4261 0.8535
O32 O 0.4831 0.4289 0.6047
O33 O 0.7678 0.5726 0.1458
O34 O 0.5167 0.5746 0.3966
O35 O 0.2685 0.5738 0.6462
O36 O 0.0173 0.5719 0.8951
O37 O 0.7556 0.0741 0.4393
O38 O 0.2553 0.0756 0.9351
O39 O 0.5070 0.0739 0.6875
O40 O 0.5360 0.7751 0.1667
O41 O 0.2822 0.7787 0.4148
O42 O 0.0329 0.7783 0.6638
O43 O 0.7481 0.2699 0.1947
O44 O 0.5014 0.2690 0.4470
O45 O 0.2501 0.2696 0.6959
O46 O 0.4890 0.5287 0.1883
O47 O 0.2402 0.5300 0.4380
O48 O 0.2569 0.9465 0.1707
O49 O 0.0083 0.9477 0.4161
O50 O 0.3117 0.7746 0.0402
O51 O 0.0717 0.7787 0.2809
O52 O 0.4367 0.2214 0.2109
O53 O 0.1788 0.2256 0.4703
O54 O 0.4889 0.0521 0.0823
O55 O 0.2432 0.0575 0.3292
O56 O 0.2607 0.4696 0.0612
O57 O 0.0106 0.4715 0.3126
O58 O 0.0016 0.7259 0.0564
O59 O 0.2182 0.2221 0.0849
O60 O 0.0027 0.0741 0.1902

***

[6]
# NdCrO5, relaxed, DFT PBE with a Hubbard U
# total magnetic moment: 8.0 μB per cell
data_NdCrO5
_chemical_formula_sum 'Nd8 Cr8 O40'
_cell_length_a 11.6095
_cell_length_b 8.5185
_cell_length_c 11.9758
_cell_angle_alpha 46.02
_cell_angle_beta 90.00
_cell_angle_gamma 90.00
_space_group_name_H-M_alt 'P 1'
_space_group_IT_number 1
loop_
_space_group_symop_operation_xyz
'x,y,z'
loop_
_atom_site_label
_atom_site_type_symbol
_atom_site_fract_x
_atom_site_fract_y
_atom_site_fract_z
Nd1 Nd 0.0557 0.2029 0.6681
Nd2 Nd 0.5557 0.7971 0.8319
Nd3 Nd 0.9443 0.7971 0.3319
Nd4 Nd 0.4443 0.2029 0.1681
Nd5 Nd 0.0772 0.7451 0.6817
Nd6 Nd 0.5772 0.2549 0.8183
Nd7 Nd 0.9228 0.2549 0.3183
Nd8 Nd 0.4228 0.7451 0.1817
Cr1 Cr 0.3219 0.1404 0.4966
Cr2 Cr 0.8219 0.8596 0.0034
Cr3 Cr 0.6781 0.8596 0.5034
Cr4 Cr 0.1781 0.1404 0.9966
Cr5 Cr 0.3090 0.6028 0.5392
Cr6 Cr 0.8089 0.3972 0.9608
Cr7 Cr 0.6911 0.3972 0.4608
Cr8 Cr 0.1910 0.6028 0.0392
O1 O 0.1849 0.0921 0.5638
O2 O 0.6849 0.9079 0.9362
O3 O 0.8151 0.9079 0.4362
O4 O 0.3151 0.0921 0.0638
O5 O 0.3625 0.3849 0.4179
O6 O 0.8625 0.6151 0.0821
O7 O 0.6375 0.6151 0.5821
O8 O 0.1375 0.3849 0.9179
O9 O 0.3272 0.1373 0.3609
O10 O 0.8272 0.8627 0.1391
O11 O 0.6728 0.8627 0.6391
O12 O 0.1728 0.1373 0.8609
O13 O 0.4100 0.9559 0.6423
O14 O 0.9100 0.0441 0.8577
O15 O 0.5900 0.0441 0.3577
O16 O 0.0900 0.9559 0.1423
O17 O 0.2645 0.7076 0.6064
O18 O 0.7645 0.2924 0.8936
O19 O 0.7355 0.2924 0.3936
O20 O 0.2355 0.7076 0.1064
O21 O 0.3766 0.7916 0.3671
O22 O 0.8766 0.2084 0.1329
O23 O 0.6234 0.2084 0.6329
O24 O 0.1234 0.7916 0.8671
O25 O 0.1894 0.5136 0.5162
O26 O 0.6894 0.4864 0.9838
O27 O 0.8106 0.4864 0.4838
O28 O 0.3106 0.5136 0.0162
O29 O 0.3994 0.4025 0.6672
O30 O 0.8994 0.5975 0.8328
O31 O 0.6006 0.5975 0.3328
O32 O 0.1006 0.4025 0.1672
O33 O 0.9559 0.0530 0.5853
O34 O 0.4559 0.9470 0.9147
O35 O 0.0441 0.9470 0.4147
O36 O 0.5441 0.0530 0.0853
O37 O 0.9889 0.4483 0.3960
O38 O 0.4889 0.5517 0.1040
O39 O 0.0111 0.5517 0.6040
O40 O 0.5111 0.4483 0.8960

***

[7]
# Fe4O5F3, relaxed, DFT PBE with a Hubbard U
# total magnetic moment: 0.0 μB per cell
# offset from the most stable computed form: 6.97 eV per formula unit
data_Fe4O5F3
_chemical_formula_sum 'Fe8 O10 F6'
_cell_length_a 6.1085
_cell_length_b 4.7234
_cell_length_c 9.4094
_cell_angle_alpha 88.18
_cell_angle_beta 90.00
_cell_angle_gamma 90.00
_space_group_name_H-M_alt 'P 1'
_space_group_IT_number 1
loop_
_space_group_symop_operation_xyz
'x,y,z'
loop_
_atom_site_label
_atom_site_type_symbol
_atom_site_fract_x
_atom_site_fract_y
_atom_site_fract_z
Fe1 Fe 0.2500 0.9380 0.7441
Fe2 Fe 0.7500 0.9711 0.7327
Fe3 Fe 0.2500 0.0289 0.2673
Fe4 Fe 0.7500 0.0620 0.2559
Fe5 Fe 0.5000 0.5000 0.5000
Fe6 Fe 0.0000 0.5000 0.5000
Fe7 Fe 0.5000 0.5000 0.0000
Fe8 Fe 0.0000 0.5000 0.0000
O1 O 0.4995 0.2132 0.3525
O2 O 0.0005 0.2132 0.3525
O3 O 0.7500 0.3022 0.5928
O4 O 0.2500 0.3132 0.0997
O5 O 0.7500 0.3221 0.0940
O6 O 0.2500 0.6978 0.4072
O7 O 0.2500 0.6779 0.9060
O8 O 0.7500 0.6868 0.9003
O9 O 0.5005 0.7868 0.6475
O10 O 0.9995 0.7868 0.6475
F1 F 0.4967 0.1767 0.8435
F2 F 0.0033 0.1767 0.8435
F3 F 0.2500 0.2902 0.6067
F4 F 0.7500 0.7098 0.3933
F5 F 0.9967 0.8233 0.1565
F6 F 0.5033 0.8233 0.1565

***

[8]
# MoPO7, relaxed, DFT PBE with a Hubbard U
# total magnetic moment: 2.0 μB per cell
# offset from the most stable computed form: 1.15 eV per formula unit
data_MoPO7
_chemical_formula_sum 'Mo2 P2 O14'
_cell_length_a 6.5041
_cell_length_b 6.6224
_cell_length_c 7.4259
_cell_angle_alpha 69.35
_cell_angle_beta 90.00
_cell_angle_gamma 90.00
_space_group_name_H-M_alt 'P 1'
_space_group_IT_number 1
loop_
_space_group_symop_operation_xyz
'x,y,z'
loop_
_atom_site_label
_atom_site_type_symbol
_atom_site_fract_x
_atom_site_fract_y
_atom_site_fract_z
Mo1 Mo 0.2500 0.8153 0.2468
Mo2 Mo 0.7500 0.1847 0.7532
P1 P 0.2500 0.3475 0.6298
P2 P 0.7500 0.6525 0.3702
O1 O 0.0593 0.2129 0.7057
O2 O 0.5593 0.7871 0.2943
O3 O 0.9407 0.7871 0.2943
O4 O 0.4407 0.2129 0.7057
O5 O 0.2500 0.4765 0.4171
O6 O 0.7500 0.5235 0.5829
O7 O 0.2500 0.5390 0.7407
O8 O 0.7500 0.4610 0.2593
O9 O 0.2500 0.0863 0.2087
O10 O 0.7500 0.9137 0.7913
O11 O 0.2500 0.7427 0.6156
O12 O 0.7500 0.2573 0.3844
O13 O 0.2500 0.7959 0.0235
O14 O 0.7500 0.2041 0.9765

***

| no. | formation energy from the elements (eV per formula unit) | MP2020-corrected energy (eV per atom) |
| --- | --- | --- |
| 1 | -35.16 | -6.747 |
| 2 | -84.83 | -7.256 |
| 3 | -42.59 | -7.576 |
| 4 | -51.10 | -7.279 |
| 5 | -67.04 | -8.275 |
| 6 | -16.01 | -7.881 |
| 7 | -15.49 | -6.654 |
| 8 | -12.67 | -7.062 |